The following is a PBE with a Hubbard U calculation of a geometry-optimized CaCo4O6 structure, from the Materials Project database.

Corrected total energy (MP2020 scheme) in Ry/atom: -0.5161

Cell lengths 5.213, 5.213, 15.282 Å; angles 90.00, 90.00, 145.28 degrees
Fractional coordinates of all 22 atoms:
Ca 0.338 0.662 0.750
Ca 0.662 0.338 0.250
Co 0.138 0.862 0.044
Co 0.591 0.409 0.635
Co 0.862 0.138 0.956
Co 0.409 0.591 0.365
Co 0.138 0.862 0.456
Co 0.862 0.138 0.544
Co 0.409 0.591 0.135
Co 0.591 0.409 0.865
O 0.500 0.500 0.500
O 0.500 0.500 0.000
O 0.948 0.052 0.849
O 0.052 0.948 0.151
O 0.052 0.948 0.349
O 0.948 0.052 0.651
O 0.226 0.774 0.927
O 0.774 0.226 0.073
O 0.774 0.226 0.427
O 0.226 0.774 0.573
O 0.673 0.327 0.750
O 0.327 0.673 0.250